The following is a DFT calculation (PBE) of an optimized crystal structure of Ba2Ti11O24.

Summary:
Calculated total energy   -8.700 eV per atom
ΔE_f   -128.966 eV/f.u.
Total moment   0.00 μB per atom

Lattice parameters (Å, degrees): 7.3291 7.4065 8.9765 78.10 77.91 87.55
With the nearest neighbours (Å) after each atom.
Fractional positions:
1 Ba 0.0000 0.0000 0.0000  4 O 2.66-2.85
2 Ba 0.0153 0.0056 0.4387  5 O 2.77-2.99
3 Ti 0.2093 0.5342 0.7604  5 O 1.86-1.99
4 Ti 0.2113 0.5262 0.4265  4 O 1.83-2.02
5 Ti 0.2162 0.5180 0.0968  3 O 1.82-1.96
6 Ti 0.4968 0.1704 0.9462  6 O 1.88-2.10
7 Ti 0.4980 0.1861 0.6043  6 O 1.95-2.02
8 Ti 0.5123 0.1671 0.2657  4 O 1.88-1.98
9 Ti 0.5410 0.8179 0.4802  4 O 1.85-2.03
10 Ti 0.5450 0.8217 0.8360  4 O 1.86-2.05
11 Ti 0.8276 0.4966 0.3242  5 O 1.85-2.04
12 Ti 0.8297 0.4960 0.0033  5 O 1.85-2.03
13 Ti 0.8411 0.4688 0.6685  6 O 1.90-2.08
14 O 0.0610 0.6453 0.9309  3 Ti 1.98-2.11
15 O 0.0617 0.6461 0.6018  3 Ti 1.99-2.06
16 O 0.0670 0.6481 0.2645  3 Ti 2.02-2.05
17 O 0.3059 0.3775 0.6051  3 Ti 1.95-1.99
18 O 0.3079 0.3795 0.9316  3 Ti 1.96-2.03
19 O 0.3172 0.3860 0.2706  3 Ti 1.93-2.12
20 O 0.3622 0.0765 0.1486  2 Ti 1.88-1.90
21 O 0.3690 0.0527 0.8178  3 Ti 1.98-2.10
22 O 0.3735 0.0551 0.4764  3 Ti 1.98-2.10
23 O 0.3775 0.7096 0.0145  2 Ti 1.82-1.86
24 O 0.3780 0.7159 0.3891  2 Ti 1.83-1.85
25 O 0.3950 0.7135 0.6978  2 Ti 1.86-2.03
26 O 0.6343 0.3038 0.7239  3 Ti 1.90-2.10
27 O 0.6401 0.3045 0.3998  3 Ti 1.94-2.10
28 O 0.6498 0.2906 0.0588  3 Ti 1.97-2.00
29 O 0.6558 0.9618 0.6151  3 Ti 1.98-2.09
30 O 0.6724 0.9745 0.9228  2 Ti 1.88-1.91
31 O 0.6858 0.9765 0.2970  2 Ti 1.88-1.95
32 O 0.7245 0.6256 0.8261  3 Ti 1.92-2.04
33 O 0.7315 0.6342 0.4914  3 Ti 1.91-2.08
34 O 0.7344 0.6266 0.1567  2 Ti 1.85
35 O 0.9688 0.3582 0.8288  2 Ti 1.91-2.11
36 O 0.9695 0.3565 0.1650  3 Ti 2.02-2.12
37 O 0.9700 0.3602 0.4976  3 Ti 1.93-2.12

---

The following is a DFT calculation (PBE) of an optimized crystal structure of SrC3O6.

Summary:
Calculated total energy   -7.423 eV per atom
ΔE_f   -19.285 eV/f.u.
Total moment   0.10 μB per atom

Lattice parameters (Å, degrees): 8.2004 9.4073 7.4401 90.00 101.48 90.00
With the nearest neighbours (Å) after each atom.
Fractional positions:
1 Sr 0.1712 0.1727 0.0435  9 O 2.57-2.84
2 Sr 0.1712 0.3273 0.5435  9 O 2.57-2.84
3 Sr 0.8288 0.6727 0.4565  9 O 2.57-2.84
4 Sr 0.8288 0.8273 0.9565  9 O 2.57-2.84
5 C 0.0164 0.5036 0.9002  2 O 1.27
6 C 0.0164 0.9964 0.4002  2 O 1.27
7 C 0.2712 0.6985 0.5808  2 O 1.21-1.23
8 C 0.2712 0.8015 0.0808  2 O 1.21-1.23
9 C 0.4816 0.6003 0.6767  2 O 1.22-1.23
10 C 0.4816 0.8997 0.1767  2 O 1.22-1.23
11 C 0.5184 0.1003 0.8233  2 O 1.22-1.23
12 C 0.5184 0.3997 0.3233  2 O 1.22-1.23
13 C 0.7288 0.1985 0.9192  2 O 1.21-1.23
14 C 0.7288 0.3015 0.4192  2 O 1.21-1.23
15 C 0.9836 0.0036 0.5998  2 O 1.27
16 C 0.9836 0.4964 0.0998  2 O 1.27
17 O 0.0454 0.1082 0.6970  1 C 1.27
18 O 0.0454 0.3918 0.1970  1 C 1.27
19 O 0.1025 0.0965 0.3516  1 C 1.27
20 O 0.1025 0.4035 0.8516  1 C 1.27
21 O 0.1636 0.6099 0.5186  1 C 1.23
22 O 0.1636 0.8901 0.0186  1 C 1.23
23 O 0.2934 0.6752 0.1044  1 C 1.21
24 O 0.2934 0.8248 0.6044  1 C 1.21
25 O 0.3977 0.1806 0.8006  1 C 1.23
26 O 0.3977 0.3194 0.3006  1 C 1.23
27 O 0.4452 0.0242 0.1896  1 C 1.22
28 O 0.4452 0.4758 0.6896  1 C 1.22
29 O 0.5548 0.5242 0.3104  1 C 1.22
30 O 0.5548 0.9758 0.8104  1 C 1.22
31 O 0.6023 0.6806 0.6994  1 C 1.23
32 O 0.6023 0.8194 0.1994  1 C 1.23
33 O 0.7066 0.1752 0.3956  1 C 1.21
34 O 0.7066 0.3248 0.8956  1 C 1.21
35 O 0.8364 0.1099 0.9814  1 C 1.23
36 O 0.8364 0.3901 0.4814  1 C 1.23
37 O 0.8975 0.5965 0.1484  1 C 1.27
38 O 0.8975 0.9035 0.6484  1 C 1.27
39 O 0.9546 0.6082 0.8030  1 C 1.27
40 O 0.9546 0.8918 0.3030  1 C 1.27

---

The following is a DFT calculation (PBE) of an optimized crystal structure of Eu2Nb4O13.

Summary:
Calculated total energy   -9.073 eV per atom
ΔE_f   -56.070 eV/f.u.
Total moment   0.63 μB per atom

Lattice parameters (Å, degrees): 5.3951 5.7676 10.0752 90.03 94.95 113.44
With the nearest neighbours (Å) after each atom.
Fractional positions:
1 Eu 0.0000 0.0000 0.0000  5 O 2.24-2.47
2 Eu 0.4599 0.3909 0.7945  5 O 2.28-2.40
3 Nb 0.0526 0.7724 0.6748  6 O 1.95-2.16
4 Nb 0.3559 0.6950 0.1263  6 O 1.98-2.16
5 Nb 0.6261 0.2996 0.2272  4 O 1.88-2.03
6 Nb 0.8203 0.1878 0.5902  6 O 1.96-2.15
7 O 0.0101 0.0918 0.7659  2 Nb 2.15-2.16, 1 Eu 2.34
8 O 0.1737 0.4948 0.6325  2 Nb 2.01-2.03
9 O 0.2799 0.0113 0.1976  2 Nb 1.94-2.16
10 O 0.3780 0.8648 0.9517  1 Nb 2.00
11 O 0.3951 0.4092 0.0267  1 Nb 2.02
12 O 0.4702 0.0094 0.6668  2 Nb 1.98-2.13
13 O 0.5046 0.5570 0.2785  2 Nb 1.93-1.98
14 O 0.7077 0.4884 0.6109  2 Nb 1.98-2.07
15 O 0.7182 0.9973 0.1511  2 Nb 2.03-2.15, 1 Eu 2.24
16 O 0.7476 0.2387 0.3986  2 Nb 1.88-1.98
17 O 0.9061 0.6458 0.8456  1 Nb 1.97
18 O 0.9445 0.9359 0.5251  2 Nb 1.95-1.96
19 O 0.9616 0.5214 0.1403  2 Nb 1.98-2.03

---

The following is a DFT calculation (PBE) of an optimized crystal structure of RbMgH3.

Summary:
Calculated total energy   -2.777 eV per atom
ΔE_f   -1.666 eV/f.u.

Lattice parameters (Å, degrees): 5.9287 5.9287 14.3728 90.00 90.00 120.00
With the nearest neighbours (Å) after each atom.
Fractional positions:
1 Rb 0.0000 0.0000 0.2500  12 H 2.97-2.98
2 Rb 0.0000 0.0000 0.7500  12 H 2.97-2.98
3 Rb 0.3333 0.6667 0.0952  12 H 2.96-3.05
4 Rb 0.3333 0.6667 0.4048  12 H 2.96-3.05
5 Rb 0.6667 0.3333 0.5952  12 H 2.96-3.05
6 Rb 0.6667 0.3333 0.9048  12 H 2.96-3.05
7 Mg 0.0000 0.0000 0.0000  6 H 2.05
8 Mg 0.0000 0.0000 0.5000  6 H 2.05
9 Mg 0.3333 0.6667 0.6542  6 H 2.01-2.02
10 Mg 0.3333 0.6667 0.8458  6 H 2.01-2.02
11 Mg 0.6667 0.3333 0.1542  6 H 2.01-2.02
12 Mg 0.6667 0.3333 0.3458  6 H 2.01-2.02
13 H 0.0474 0.5237 0.7500  2 Mg 2.01
14 H 0.1658 0.3317 0.5799  2 Mg 2.02-2.05
15 H 0.1658 0.3317 0.9201  2 Mg 2.02-2.05
16 H 0.1658 0.8342 0.5799  2 Mg 2.02-2.05
17 H 0.1658 0.8342 0.9201  2 Mg 2.02-2.05
18 H 0.3317 0.1658 0.0799  2 Mg 2.02-2.05
19 H 0.3317 0.1658 0.4201  2 Mg 2.02-2.05
20 H 0.4763 0.5237 0.7500  2 Mg 2.01
21 H 0.4763 0.9526 0.7500  2 Mg 2.01
22 H 0.5237 0.0474 0.2500  2 Mg 2.01
23 H 0.5237 0.4763 0.2500  2 Mg 2.01
24 H 0.6683 0.8342 0.5799  2 Mg 2.02-2.05
25 H 0.6683 0.8342 0.9201  2 Mg 2.02-2.05
26 H 0.8342 0.1658 0.0799  2 Mg 2.02-2.05
27 H 0.8342 0.1658 0.4201  2 Mg 2.02-2.05
28 H 0.8342 0.6683 0.0799  2 Mg 2.02-2.05
29 H 0.8342 0.6683 0.4201  2 Mg 2.02-2.05
30 H 0.9526 0.4763 0.2500  2 Mg 2.01

---

The following is a DFT calculation (PBE) of an optimized crystal structure of ZnPH3O5.

Summary:
Calculated total energy   -5.719 eV per atom
ΔE_f   -19.038 eV/f.u.
Total moment   0.00 μB per atom

Lattice parameters (Å, degrees): 6.5101 7.7901 12.3596 74.38 81.93 81.71
With the nearest neighbours (Å) after each atom.
Fractional positions:
1 Zn 0.0254 0.0625 0.2999  5 O 2.00-2.23
2 Zn 0.1390 0.6705 0.9495  5 O 2.05-2.17
3 Zn 0.3521 0.8854 0.0908  6 O 2.04-2.27
4 Zn 0.6479 0.1146 0.9092  6 O 2.04-2.27
5 Zn 0.8610 0.3295 0.0505  5 O 2.05-2.17
6 Zn 0.9746 0.9375 0.7001  5 O 2.00-2.23
7 P 0.1456 0.1309 0.8654  4 O 1.54-1.59
8 P 0.3307 0.6901 0.3650  4 O 1.54-1.59
9 P 0.3517 0.2909 0.1122  4 O 1.54-1.60
10 P 0.6483 0.7091 0.8878  4 O 1.54-1.60
11 P 0.6693 0.3099 0.6350  4 O 1.54-1.59
12 P 0.8544 0.8691 0.1346  4 O 1.54-1.59
13 H 0.0092 0.7852 0.5259  1 O 1.00
14 H 0.1631 0.3129 0.3806  1 O 0.98
15 H 0.1657 0.5106 0.7800  1 O 1.00
16 H 0.2618 0.9891 0.5143  1 O 0.98
17 H 0.2940 0.2893 0.6966  1 O 1.04
18 H 0.3185 0.6623 0.7526  1 O 0.98
19 H 0.3487 0.4234 0.4961  1 O 1.02
20 H 0.3567 0.0513 0.6039  1 O 0.98
21 H 0.3631 0.5016 0.2091  1 O 1.02
22 H 0.6369 0.4984 0.7909  1 O 1.02
23 H 0.6433 0.9487 0.3961  1 O 0.98
24 H 0.6513 0.5766 0.5039  1 O 1.02
25 H 0.6815 0.3377 0.2474  1 O 0.98
26 H 0.7060 0.7107 0.3034  1 O 1.04
27 H 0.7382 0.0109 0.4857  1 O 0.98
28 H 0.8343 0.4894 0.2200  1 O 1.00
29 H 0.8369 0.6871 0.6194  1 O 0.98
30 H 0.9908 0.2148 0.4741  1 O 1.00
31 O 0.0619 0.8151 0.0680  1 P 1.55
32 O 0.0922 0.2034 0.4069  2 H 0.98-1.00
33 O 0.1315 0.9674 0.8206  1 P 1.54
34 O 0.1571 0.8305 0.3965  1 P 1.54, 1 H 1.72
35 O 0.1669 0.4089 0.0524  1 P 1.55
36 O 0.1761 0.3016 0.7617  1 H 1.04
37 O 0.1766 0.6354 0.7852  2 H 0.98-1.00
38 O 0.2641 0.4981 0.4329  1 H 1.02
39 O 0.2830 0.9551 0.5949  2 H 0.98
40 O 0.2893 0.1008 0.1729  1 P 1.55
41 O 0.3281 0.0951 0.9381  1 P 1.54
42 O 0.3496 0.6910 0.2390  1 P 1.54, 1 H 1.60
43 O 0.3903 0.3679 0.2145  1 H 1.02
44 O 0.4437 0.7116 0.9670  1 P 1.54
45 O 0.4567 0.2876 0.5999  2 H 1.48-1.60, 1 P 1.55
46 O 0.5433 0.7124 0.4001  2 H 1.48-1.60, 1 P 1.55
47 O 0.5563 0.2884 0.0330  1 P 1.54
48 O 0.6097 0.6321 0.7855  1 H 1.02
49 O 0.6504 0.3090 0.7610  1 P 1.54, 1 H 1.60
50 O 0.6719 0.9049 0.0619  1 P 1.54
51 O 0.7107 0.8992 0.8271  1 P 1.55
52 O 0.7170 0.0449 0.4051  2 H 0.98
53 O 0.7359 0.5019 0.5671  1 H 1.02
54 O 0.8234 0.3646 0.2148  2 H 0.98-1.00
55 O 0.8239 0.6984 0.2383  1 H 1.04
56 O 0.8331 0.5911 0.9476  1 P 1.55
57 O 0.8429 0.1695 0.6035  1 P 1.54, 1 H 1.72
58 O 0.8685 0.0326 0.1794  1 P 1.54
59 O 0.9078 0.7966 0.5931  2 H 0.98-1.00
60 O 0.9381 0.1849 0.9320  1 P 1.55

---

The following is a DFT calculation (PBE) of an optimized crystal structure of BaTi6O13.

Summary:
Calculated total energy   -8.740 eV per atom
ΔE_f   -70.115 eV/f.u.

Lattice parameters (Å, degrees): 7.5712 7.6249 10.0051 72.37 74.46 60.73
With the nearest neighbours (Å) after each atom.
Fractional positions:
1 Ba 0.1762 0.0312 0.1317  10 O 2.84-3.05
2 Ba 0.8238 0.9688 0.8683  10 O 2.84-3.05
3 Ti 0.0930 0.1543 0.5039  5 O 1.87-2.08
4 Ti 0.1819 0.3721 0.7515  4 O 1.86-2.01
5 Ti 0.2523 0.5086 0.2800  5 O 1.87-2.02
6 Ti 0.2925 0.5396 0.9814  4 O 1.83-2.01
7 Ti 0.3692 0.7247 0.5038  6 O 1.92-2.15
8 Ti 0.4209 0.9149 0.7690  4 O 1.82-2.03
9 Ti 0.5791 0.0851 0.2310  4 O 1.82-2.03
10 Ti 0.6308 0.2753 0.4962  6 O 1.92-2.15
11 Ti 0.7075 0.4604 0.0186  4 O 1.83-2.01
12 Ti 0.7477 0.4914 0.7200  5 O 1.87-2.02
13 Ti 0.8181 0.6279 0.2485  4 O 1.86-2.01
14 Ti 0.9070 0.8457 0.4961  5 O 1.87-2.08
15 O 0.0477 0.4134 0.3741  3 Ti 1.93-2.10
16 O 0.0628 0.6741 0.1410  3 Ti 1.95-2.09
17 O 0.1021 0.8740 0.5994  3 Ti 1.92-2.14
18 O 0.1327 0.5403 0.8723  2 Ti 1.83-1.86
19 O 0.1909 0.7109 0.3764  2 Ti 1.87-2.08
20 O 0.2234 0.1505 0.6394  2 Ti 1.87-2.04
21 O 0.2401 0.8284 0.8910  2 Ti 1.82-1.99
22 O 0.3312 0.9887 0.3880  2 Ti 1.92-1.93
23 O 0.3459 0.2911 0.1388  2 Ti 1.93-2.01
24 O 0.3726 0.1304 0.8522  2 Ti 1.88-1.90
25 O 0.3811 0.4454 0.6089  3 Ti 1.95-2.04
26 O 0.4442 0.5822 0.1167  2 Ti 1.87-2.02
27 O 0.4830 0.2769 0.3659  3 Ti 1.93-2.03
28 O 0.5170 0.7231 0.6341  3 Ti 1.93-2.03
29 O 0.5558 0.4178 0.8833  2 Ti 1.87-2.02
30 O 0.6189 0.5546 0.3911  3 Ti 1.95-2.04
31 O 0.6274 0.8696 0.1478  2 Ti 1.88-1.90
32 O 0.6541 0.7089 0.8612  2 Ti 1.93-2.01
33 O 0.6688 0.0113 0.6120  2 Ti 1.92-1.93
34 O 0.7599 0.1716 0.1090  2 Ti 1.82-1.99
35 O 0.7766 0.8495 0.3606  2 Ti 1.87-2.04
36 O 0.8091 0.2891 0.6236  2 Ti 1.87-2.08
37 O 0.8673 0.4597 0.1277  2 Ti 1.83-1.86
38 O 0.8979 0.1260 0.4006  3 Ti 1.92-2.14
39 O 0.9372 0.3259 0.8590  3 Ti 1.95-2.09
40 O 0.9523 0.5866 0.6259  3 Ti 1.93-2.10

---

The following is a DFT calculation (PBE) of an optimized crystal structure of Pr2ReC2.

Summary:
Calculated total energy   -8.323 eV per atom
ΔE_f   -1.153 eV/f.u.

Lattice parameters (Å, degrees): 6.7429 5.4126 10.3235 90.00 90.00 90.00
With the nearest neighbours (Å) after each atom.
Fractional positions:
1 Pr 0.0253 0.2500 0.2139  4 C 2.67-2.97
2 Pr 0.1900 0.2500 0.5501  5 C 2.61-2.73
3 Pr 0.3100 0.7500 0.0501  5 C 2.61-2.73
4 Pr 0.4747 0.7500 0.7139  4 C 2.67-2.97
5 Pr 0.5253 0.2500 0.2861  4 C 2.67-2.97
6 Pr 0.6900 0.2500 0.9499  5 C 2.61-2.73
7 Pr 0.8100 0.7500 0.4499  5 C 2.61-2.73
8 Pr 0.9747 0.7500 0.7861  4 C 2.67-2.97
9 Re 0.2317 0.2500 0.8563  3 C 1.92-2.05
10 Re 0.2683 0.7500 0.3563  3 C 1.92-2.05
11 Re 0.7317 0.2500 0.6437  3 C 1.92-2.05
12 Re 0.7683 0.7500 0.1437  3 C 1.92-2.05
13 C 0.0316 0.7500 0.2422  2 Re 1.98-2.05
14 C 0.1892 0.7500 0.5347  1 Re 1.92
15 C 0.3108 0.2500 0.0347  1 Re 1.92
16 C 0.4684 0.2500 0.7422  2 Re 1.98-2.05
17 C 0.5316 0.7500 0.2578  2 Re 1.98-2.05
18 C 0.6892 0.7500 0.9653  1 Re 1.92
19 C 0.8108 0.2500 0.4653  1 Re 1.92
20 C 0.9684 0.2500 0.7578  2 Re 1.98-2.05

---

The following is a DFT calculation (PBE) of an optimized crystal structure of NiHg.

Summary:
Calculated total energy   -2.823 eV per atom
ΔE_f   0.437 eV/f.u.
Total moment   0.00 μB per atom

Lattice parameters (Å, degrees): 3.1524 3.1524 3.1524 90.00 90.00 90.00
With the nearest neighbours (Å) after each atom.
Fractional positions:
1 Ni 0.0000 0.0000 0.0000  8 Hg 2.73
2 Hg 0.5000 0.5000 0.5000  8 Ni 2.73